Computed, not measured: a relaxed LaSiP3 crystal at the PBE level of DFT.

Properties
Total DFT energy (no corrections), eV per atom: -5.962
Space group: Pbca
Mass density, g/cm3: 4.03
E above lowest polymorph, meV/atom: 92

a b c (Å): 5.7222 25.7938 5.8010
angles (deg): 90.00 90.00 90.00
With the nearest neighbours (Å) after each atom.
Fractional coordinates of all 40 atoms:
La  0.0021  0.0915  0.9999  9 P 2.99-3.15
La  0.0021  0.4085  0.4999  9 P 2.99-3.15
La  0.4979  0.5915  0.9999  9 P 2.99-3.15
La  0.4979  0.9085  0.4999  9 P 2.99-3.15
La  0.5021  0.0915  0.5001  9 P 2.99-3.15
La  0.5021  0.4085  0.0001  9 P 2.99-3.15
La  0.9979  0.5915  0.5001  9 P 2.99-3.15
La  0.9979  0.9085  0.0001  9 P 2.99-3.15
Si  0.0809  0.7072  0.0851  4 P 2.20-2.27
Si  0.0809  0.7928  0.5851  4 P 2.20-2.27
Si  0.4191  0.2072  0.0851  4 P 2.20-2.27
Si  0.4191  0.2928  0.5851  4 P 2.20-2.27
Si  0.5809  0.7072  0.4149  4 P 2.20-2.27
Si  0.5809  0.7928  0.9149  4 P 2.20-2.27
Si  0.9191  0.2072  0.4149  4 P 2.20-2.27
Si  0.9191  0.2928  0.9149  4 P 2.20-2.27
P  0.0043  0.1263  0.5036  1 Si 2.20
P  0.0043  0.3737  0.0036  1 Si 2.20
P  0.0261  0.2132  0.0443  3 Si 2.24-2.27
P  0.0261  0.2868  0.5443  3 Si 2.24-2.27
P  0.2483  0.0001  0.7485  4 P 2.86-2.90, 4 La 3.11-3.13
P  0.2483  0.4999  0.2485  4 P 2.86-2.90, 4 La 3.11-3.13
P  0.2517  0.9999  0.2485  4 P 2.86-2.90, 4 La 3.11-3.13
P  0.2517  0.5001  0.7485  4 P 2.86-2.90, 4 La 3.11-3.13
P  0.4739  0.7132  0.0443  3 Si 2.24-2.27
P  0.4739  0.7868  0.5443  3 Si 2.24-2.27
P  0.4957  0.6263  0.5036  1 Si 2.20
P  0.4957  0.8737  0.0036  1 Si 2.20
P  0.5043  0.1263  0.9964  1 Si 2.20
P  0.5043  0.3737  0.4964  1 Si 2.20
P  0.5261  0.2132  0.4557  3 Si 2.24-2.27
P  0.5261  0.2868  0.9557  3 Si 2.24-2.27
P  0.7483  0.0001  0.7515  4 P 2.86-2.90, 4 La 3.11-3.13
P  0.7483  0.4999  0.2515  4 P 2.86-2.90, 4 La 3.11-3.13
P  0.7517  0.9999  0.2515  4 P 2.86-2.90, 4 La 3.11-3.13
P  0.7517  0.5001  0.7515  4 P 2.86-2.90, 4 La 3.11-3.13
P  0.9739  0.7132  0.4557  3 Si 2.24-2.27
P  0.9739  0.7868  0.9557  3 Si 2.24-2.27
P  0.9957  0.6263  0.9964  1 Si 2.20
P  0.9957  0.8737  0.4964  1 Si 2.20